Below is a geometry-optimized Li5Mn6B6O18 structure, with properties calculated at the PBE+U level.

The structure in POSCAR format:
```
Li5Mn6B6O18
1.0
12.739 0.000 0.000
0.000 8.245 0.000
0.000 4.114 7.185
Mn O Li B
12 36 10 12
Direct
0.124 0.987 0.383
0.876 0.987 0.383
0.124 0.651 0.981
0.124 0.362 0.639
0.376 0.382 0.631
0.876 0.651 0.981
0.876 0.362 0.639
0.624 0.382 0.631
0.377 0.981 0.367
0.376 0.638 0.998
0.623 0.981 0.367
0.624 0.638 0.998
0.248 0.442 0.139
0.251 0.139 0.417
0.000 0.146 0.397
0.860 0.081 0.817
0.251 0.418 0.440
0.500 0.744 0.791
0.000 0.465 0.745
0.247 0.780 0.473
0.753 0.780 0.473
0.877 0.805 0.118
0.750 0.747 0.779
0.125 0.110 0.091
0.875 0.110 0.091
0.000 0.777 0.474
0.500 0.133 0.415
0.625 0.118 0.077
0.752 0.442 0.139
0.123 0.805 0.118
0.360 0.816 0.101
0.640 0.816 0.101
0.252 0.473 0.744
0.000 0.737 0.781
0.140 0.081 0.817
0.500 0.399 0.457
0.749 0.418 0.440
0.500 0.780 0.483
0.500 0.473 0.750
0.622 0.091 0.799
0.000 0.416 0.439
0.378 0.091 0.799
0.250 0.747 0.779
0.500 0.439 0.146
0.375 0.118 0.077
0.000 0.452 0.133
0.749 0.139 0.417
0.748 0.473 0.744
0.500 0.021 0.699
0.500 0.281 0.017
0.249 0.702 0.281
0.000 0.279 0.021
0.000 0.702 0.281
0.748 0.017 0.702
0.751 0.702 0.281
0.252 0.017 0.702
0.249 0.281 0.016
0.751 0.281 0.016
0.872 0.999 0.007
0.750 0.666 0.667
0.128 0.999 0.007
0.629 0.006 0.993
0.500 0.667 0.673
0.250 0.333 0.331
0.000 0.659 0.668
0.250 0.666 0.667
0.750 0.333 0.331
0.500 0.326 0.338
0.371 0.006 0.993
0.000 0.337 0.325
```

Symmetry ... Pm, No. 6
Corrected total energy (MP2020 scheme) ... -8.00 eV per atom
V ... 754.62 Å³/cell
Formation energy from the elements ... -238 kJ per mole of atoms


Below is a geometry-optimized Li2MnB2O6 structure, with properties calculated at the PBE+U level.

The structure in POSCAR format:
```
Li2MnB2O6
1.0
14.607 0.000 0.000
0.000 3.003 0.000
0.000 0.408 9.148
Mn O B Li
4 24 8 8
Direct
0.368 0.178 0.123
0.868 0.822 0.377
0.132 0.178 0.623
0.632 0.822 0.877
0.510 0.841 0.788
0.659 0.333 0.757
0.341 0.667 0.243
0.415 0.255 0.525
0.348 0.984 0.755
0.848 0.016 0.745
0.152 0.984 0.255
0.755 0.816 0.958
0.255 0.184 0.542
0.585 0.745 0.475
0.400 0.710 0.984
0.745 0.816 0.458
0.841 0.333 0.257
0.100 0.710 0.484
0.245 0.184 0.042
0.010 0.159 0.712
0.900 0.290 0.516
0.085 0.255 0.025
0.915 0.745 0.975
0.490 0.159 0.212
0.652 0.016 0.245
0.990 0.841 0.288
0.159 0.667 0.743
0.600 0.290 0.016
0.843 0.855 0.895
0.424 0.844 0.839
0.076 0.844 0.339
0.924 0.156 0.661
0.343 0.145 0.605
0.576 0.156 0.161
0.657 0.855 0.395
0.157 0.145 0.105
0.752 0.302 0.607
0.960 0.277 0.112
0.460 0.723 0.388
0.248 0.698 0.393
0.040 0.723 0.888
0.748 0.302 0.107
0.540 0.277 0.612
0.252 0.698 0.893
```

Symmetry ... P2_1/c, No. 14
Corrected total energy (MP2020 scheme) ... -7.52 eV per atom
V ... 401.24 Å³/cell
Formation energy from the elements ... -234 kJ per mole of atoms


| no. | mass density (g cm⁻³) | M_tot (μB per cell) | energy relative to the lowest polymorph listed for this composition (meV/atom) |
| --- | --- | --- | --- |
| 1 | 3.2 | 58.002 | 12 |
| 2 | 3.1 | 12.002 | 5 |